1.
Entry from the Materials Project: an optimized crystal structure of LiSbN2 (PBE-GGA).

abc: 5.9624 12.1372 15.1507
angles: 90.00 90.00 90.00
Closest atoms and distances in Å follow each position.
Fractional coordinates of all 64 atoms:
1 N 0.7820 0.4615 0.3061  2 Li 2.03-2.05, 2 Sb 2.06-2.08
2 N 0.2820 0.0385 0.6939  2 Li 2.03-2.05, 2 Sb 2.06-2.08
3 N 0.5853 0.7856 0.7264  2 Sb 1.99-2.00, 1 Li 2.08
4 N 0.2046 0.0468 0.9615  1 Li 2.02, 2 Sb 2.03-2.06
5 N 0.2954 0.5468 0.9615  1 Li 2.02, 2 Sb 2.03-2.06
6 N 0.7954 0.9532 0.0385  1 Li 2.02, 2 Sb 2.03-2.06
7 N 0.7210 0.2911 0.4372  2 Li 2.02-2.14, 2 Sb 2.03-2.05
8 N 0.2790 0.7911 0.0628  2 Li 2.02-2.14, 2 Sb 2.03-2.05
9 N 0.2180 0.9615 0.1939  2 Li 2.03-2.05, 2 Sb 2.06-2.08
10 N 0.2180 0.5385 0.6939  2 Li 2.03-2.05, 2 Sb 2.06-2.08
11 N 0.7954 0.5468 0.5385  1 Li 2.02, 2 Sb 2.03-2.06
12 N 0.2790 0.7089 0.5628  2 Li 2.02-2.14, 2 Sb 2.03-2.05
13 N 0.7820 0.0385 0.8061  2 Li 2.03-2.05, 2 Sb 2.06-2.08
14 N 0.2820 0.4615 0.1939  2 Li 2.03-2.05, 2 Sb 2.06-2.08
15 N 0.2046 0.4532 0.4615  1 Li 2.02, 2 Sb 2.03-2.06
16 N 0.7046 0.4532 0.0385  1 Li 2.02, 2 Sb 2.03-2.06
17 N 0.0853 0.7144 0.2736  2 Sb 1.99-2.00, 1 Li 2.08
18 N 0.7180 0.9615 0.3061  2 Li 2.03-2.05, 2 Sb 2.06-2.08
19 N 0.4147 0.2144 0.2736  2 Sb 1.99-2.00, 1 Li 2.08
20 N 0.7180 0.5385 0.8061  2 Li 2.03-2.05, 2 Sb 2.06-2.08
21 N 0.9147 0.2144 0.2264  2 Sb 1.99-2.00, 1 Li 2.08
22 N 0.7790 0.7911 0.4372  2 Li 2.02-2.14, 2 Sb 2.03-2.05
23 N 0.5853 0.7144 0.2264  2 Sb 1.99-2.00, 1 Li 2.08
24 N 0.7046 0.0468 0.5385  1 Li 2.02, 2 Sb 2.03-2.06
25 N 0.7210 0.2089 0.9372  2 Li 2.02-2.14, 2 Sb 2.03-2.05
26 N 0.9147 0.2856 0.7264  2 Sb 1.99-2.00, 1 Li 2.08
27 N 0.2954 0.9532 0.4615  1 Li 2.02, 2 Sb 2.03-2.06
28 N 0.7790 0.7089 0.9372  2 Li 2.02-2.14, 2 Sb 2.03-2.05
29 N 0.2210 0.2911 0.0628  2 Li 2.02-2.14, 2 Sb 2.03-2.05
30 N 0.0853 0.7856 0.7736  2 Sb 1.99-2.00, 1 Li 2.08
31 N 0.2210 0.2089 0.5628  2 Li 2.02-2.14, 2 Sb 2.03-2.05
32 N 0.4147 0.2856 0.7736  2 Sb 1.99-2.00, 1 Li 2.08
33 Sb 0.3042 0.7956 0.1980  4 N 1.99-2.08
34 Sb 0.6347 0.9431 0.4373  4 N 2.03-2.06
35 Sb 0.6958 0.2044 0.8020  4 N 1.99-2.08
36 Sb 0.6347 0.5569 0.9373  4 N 2.03-2.06
37 Sb 0.8042 0.7044 0.8020  4 N 1.99-2.08
38 Sb 0.1347 0.9431 0.0627  4 N 2.03-2.06
39 Sb 0.8042 0.7956 0.3020  4 N 1.99-2.08
40 Sb 0.3653 0.0569 0.5627  4 N 2.03-2.06
41 Sb 0.3042 0.7044 0.6980  4 N 1.99-2.08
42 Sb 0.6958 0.2956 0.3020  4 N 1.99-2.08
43 Sb 0.1958 0.2044 0.6980  4 N 1.99-2.08
44 Sb 0.8653 0.0569 0.9373  4 N 2.03-2.06
45 Sb 0.1958 0.2956 0.1980  4 N 1.99-2.08
46 Sb 0.3653 0.4431 0.0627  4 N 2.03-2.06
47 Sb 0.1347 0.5569 0.5627  4 N 2.03-2.06
48 Sb 0.8653 0.4431 0.4373  4 N 2.03-2.06
49 Li 0.6153 0.6855 0.5174  3 N 2.02-2.14
50 Li 0.6153 0.8145 0.0174  3 N 2.02-2.14
51 Li 0.9804 0.4485 0.7601  3 N 2.03-2.08
52 Li 0.1153 0.6855 0.9826  3 N 2.02-2.14
53 Li 0.4804 0.0515 0.2399  3 N 2.03-2.08
54 Li 0.5196 0.9485 0.7601  3 N 2.03-2.08
55 Li 0.0196 0.5515 0.2399  3 N 2.03-2.08
56 Li 0.1153 0.8145 0.4826  3 N 2.02-2.14
57 Li 0.4804 0.4485 0.7399  3 N 2.03-2.08
58 Li 0.3847 0.1855 0.9826  3 N 2.02-2.14
59 Li 0.8847 0.3145 0.0174  3 N 2.02-2.14
60 Li 0.5196 0.5515 0.2601  3 N 2.03-2.08
61 Li 0.9804 0.0515 0.2601  3 N 2.03-2.08
62 Li 0.8847 0.1855 0.5174  3 N 2.02-2.14
63 Li 0.3847 0.3145 0.4826  3 N 2.02-2.14
64 Li 0.0196 0.9485 0.7399  3 N 2.03-2.08

Output
The value obtained for the formation energy from the elements is 0.062 eV/atom.

=====

2.
Entry from the Materials Project: an optimized crystal structure of CsAuF3 (PBE-GGA).

abc: 4.5677 4.5677 4.5677
angles: 90.00 90.00 90.00
Closest atoms and distances in Å follow each position.
Fractional coordinates of all 5 atoms:
1 Cs 0.5000 0.5000 0.5000  12 F 3.23
2 F 0.0000 0.0000 0.5000  2 Au 2.28
3 F 0.5000 0.0000 0.0000  2 Au 2.28
4 F 0.0000 0.5000 0.0000  2 Au 2.28
5 Au 0.0000 0.0000 0.0000  6 F 2.28

Output
The value obtained for the formation energy from the elements is -1.919 eV/atom.